1.
The following is a DFT calculation (PBE+U) of an optimized crystal structure of Li4V3P8O29.

ΔE_f	-113.13	eV per formula unit
symmetry	No. 9
calculated total energy	-7.041	eV/atom
relative energy among the computed polymorphs	12	meV per atom

Cell: 9.7869 9.7869 14.0752 Å, 89.88 89.88 60.11°
Closest atoms and distances in Å follow each position.
Atoms (fractional coordinates):
1 Li 0.0917 0.6801 0.5607  3 O 1.98-2.05
2 Li 0.3207 0.7765 0.4420  2 O 1.88-1.97
3 Li 0.6801 0.0917 0.0607  3 O 1.98-2.05
4 Li 0.3140 0.9114 0.9427  3 O 1.87-2.07
5 Li 0.7765 0.3207 0.9420  2 O 1.88-1.97
6 Li 0.9114 0.3140 0.4427  3 O 1.87-2.07
7 Li 0.7693 0.9143 0.4403  3 O 1.92-2.02
8 Li 0.9143 0.7693 0.9403  3 O 1.92-2.02
9 V 0.9998 0.5668 0.7525  6 O 1.88-2.00
10 V 0.4304 0.0012 0.7471  6 O 1.85-1.96
11 V 0.4316 0.5670 0.2469  6 O 1.85-1.99
12 V 0.5670 0.4316 0.7469  6 O 1.85-1.99
13 V 0.5668 0.9998 0.2525  6 O 1.88-2.00
14 V 0.0012 0.4304 0.2471  6 O 1.85-1.96
15 P 0.0871 0.2296 0.8405  4 O 1.48-1.62
16 P 0.2296 0.0871 0.3405  4 O 1.48-1.62
17 P 0.0878 0.6805 0.3405  4 O 1.50-1.61
18 P 0.3327 0.3345 0.6286  4 O 1.48-1.61
19 P 0.3345 0.3327 0.1286  4 O 1.48-1.61
20 P 0.2325 0.6820 0.8424  4 O 1.48-1.64
21 P 0.3179 0.7686 0.6586  4 O 1.50-1.60
22 P 0.6805 0.0878 0.8405  4 O 1.50-1.61
23 P 0.3197 0.9134 0.1580  4 O 1.48-1.60
24 P 0.6820 0.2325 0.3424  4 O 1.48-1.64
25 P 0.7686 0.3179 0.1586  4 O 1.50-1.60
26 P 0.6636 0.6685 0.8712  4 O 1.49-1.60
27 P 0.6685 0.6636 0.3712  4 O 1.49-1.60
28 P 0.9134 0.3197 0.6580  4 O 1.48-1.60
29 P 0.7692 0.9124 0.6573  4 O 1.48-1.62
30 P 0.9124 0.7692 0.1573  4 O 1.48-1.62
31 O 0.9877 0.2486 0.5659  1 P 1.48
32 O 0.0808 0.2561 0.3379  1 P 1.57
33 O 0.2060 0.0084 0.2449  2 P 1.60-1.62
34 O 0.2486 0.9877 0.0659  1 P 1.48
35 O 0.1002 0.3785 0.8246  1 P 1.54
36 O 0.2561 0.0808 0.8379  1 P 1.57
37 O 0.1847 0.3357 0.1751  1 P 1.59
38 O 0.0967 0.5204 0.3230  1 P 1.55
39 O 0.9959 0.7541 0.0664  1 P 1.48
40 O 0.0855 0.6612 0.8415  1 P 1.55
41 O 0.3357 0.1847 0.6751  1 P 1.59
42 O 0.1855 0.4860 0.6672  1 P 1.56
43 O 0.3785 0.1002 0.3246  1 P 1.54
44 O 0.3407 0.3296 0.5235  1 P 1.48
45 O 0.3296 0.3407 0.0235  1 P 1.48
46 O 0.5204 0.0967 0.8230  1 P 1.55
47 O 0.3337 0.4826 0.1756  1 P 1.61
48 O 0.4860 0.1855 0.1672  1 P 1.56
49 O 0.2549 0.6617 0.3402  1 P 1.55
50 O 0.2060 0.7869 0.7461  2 P 1.60-1.64
51 O 0.2433 0.7662 0.9266  1 P 1.48
52 O 0.2451 0.7559 0.5680  1 P 1.50
53 O 0.3830 0.5220 0.8220  1 P 1.55
54 O 0.4826 0.3337 0.6756  1 P 1.61
55 O 0.6612 0.0855 0.3415  1 P 1.55
56 O 0.3423 0.7443 0.1705  1 P 1.57
57 O 0.5220 0.3830 0.3220  1 P 1.55
58 O 0.2325 0.9952 0.4253  1 P 1.48
59 O 0.7541 0.9959 0.5664  1 P 1.48
60 O 0.4794 0.6169 0.6762  1 P 1.56
61 O 0.6617 0.2549 0.8402  1 P 1.55
62 O 0.7893 0.0012 0.7491  2 P 1.61-1.62
63 O 0.3412 0.9133 0.6642  1 P 1.54
64 O 0.5166 0.6674 0.3289  1 P 1.59
65 O 0.6169 0.4794 0.1762  1 P 1.56
66 O 0.7559 0.2451 0.0680  1 P 1.50
67 O 0.7662 0.2433 0.4266  1 P 1.48
68 O 0.7869 0.2060 0.2461  2 P 1.60-1.64
69 O 0.7443 0.3423 0.6705  1 P 1.57
70 O 0.5118 0.8183 0.8285  1 P 1.60
71 O 0.4808 0.9023 0.1783  1 P 1.55
72 O 0.6674 0.5166 0.8289  1 P 1.59
73 O 0.6685 0.6568 0.4773  1 P 1.49
74 O 0.6568 0.6685 0.9773  1 P 1.49
75 O 0.6178 0.9021 0.6796  1 P 1.57
76 O 0.8183 0.5118 0.3285  1 P 1.60
77 O 0.6755 0.8109 0.3332  1 P 1.57
78 O 0.9133 0.3412 0.1642  1 P 1.54
79 O 0.0084 0.2060 0.7449  2 P 1.60-1.62
80 O 0.9952 0.2325 0.9253  1 P 1.48
81 O 0.9023 0.4808 0.6783  1 P 1.55
82 O 0.8109 0.6755 0.8332  1 P 1.57
83 O 0.7470 0.9169 0.1609  1 P 1.54
84 O 0.9021 0.6178 0.1796  1 P 1.57
85 O 0.7577 0.0002 0.9304  1 P 1.50
86 O 0.9169 0.7470 0.6609  1 P 1.54
87 O 0.0002 0.7577 0.4304  1 P 1.50
88 O 0.0012 0.7893 0.2491  2 P 1.61-1.62


2.
The following is a DFT calculation (PBE+U) of an optimized crystal structure of Mn6O5F7.

ΔE_f	-43.69	eV per formula unit
symmetry	No. 1
calculated total energy	-6.674	eV/atom
relative energy among the computed polymorphs	13	meV per atom

Cell: 5.1786 5.7392 14.4250 Å, 88.91 87.39 89.93°
Closest atoms and distances in Å follow each position.
Atoms (fractional coordinates):
1 Mn 0.0320 0.1253 0.0092  2 O 1.90-1.95, 2 F 1.95-2.00
2 Mn 0.5087 0.8487 0.1685  2 O 1.92, 3 F 1.98-2.14
3 Mn 0.9930 0.1145 0.3303  2 O 1.91-1.94, 2 F 2.01-2.03
4 Mn 0.4894 0.8940 0.5037  1 O 2.03, 5 F 2.08-2.21
5 Mn 0.9878 0.1455 0.6665  3 O 1.87-1.90, 3 F 1.92-2.01
6 Mn 0.4891 0.9617 0.8270  4 F 2.09-2.17, 1 O 2.18
7 Mn 0.0088 0.5580 0.1675  4 O 1.94-2.00
8 Mn 0.5257 0.4194 0.0082  3 O 1.92-1.99, 2 F 2.10-2.11
9 Mn 0.4739 0.4249 0.6611  4 O 1.93-2.02
10 Mn 0.9610 0.5492 0.4969  3 O 1.90-2.06, 1 F 2.03
11 Mn 0.4993 0.3960 0.3250  3 O 1.94-1.96, 1 F 2.07
12 Mn 0.0204 0.4894 0.8316  2 O 2.06-2.08, 2 F 2.12
13 O 0.2659 0.2038 0.7446  2 Mn 1.90-2.01
14 O 0.8398 0.3651 0.0770  3 Mn 1.95-1.97
15 O 0.1817 0.3559 0.2602  3 Mn 1.94-2.00
16 O 0.1571 0.3727 0.5878  3 Mn 1.90-2.02
17 O 0.2197 0.3625 0.9418  3 Mn 1.90-2.06
18 O 0.8029 0.3487 0.3968  3 Mn 1.91-2.06
19 O 0.7850 0.3652 0.7303  3 Mn 1.87-2.08
20 O 0.6511 0.6142 0.5666  3 Mn 1.90-2.03
21 O 0.6819 0.6114 0.2377  3 Mn 1.92-1.96
22 O 0.3344 0.6193 0.0989  3 Mn 1.92-1.99
23 F 0.6567 0.0895 0.2493  3 Mn 2.00-2.22
24 F 0.3681 0.1043 0.0916  2 Mn 1.98-2.15
25 F 0.7009 0.1664 0.9228  3 Mn 2.10-2.18
26 F 0.6851 0.1238 0.5869  2 Mn 1.99-2.09
27 F 0.3357 0.1355 0.4100  3 Mn 2.07-2.16
28 F 0.6967 0.6383 0.9035  2 Mn 2.11-2.12
29 F 0.2969 0.6238 0.4248  3 Mn 2.03-2.21
30 F 0.3206 0.6772 0.7583  3 Mn 2.12-2.16
31 F 0.8411 0.8648 0.4183  3 Mn 2.03-2.22
32 F 0.8607 0.8699 0.0856  2 Mn 2.00-2.14
33 F 0.8324 0.9061 0.7457  2 Mn 1.92-2.11
34 F 0.1533 0.8974 0.5878  2 Mn 2.01-2.08
35 F 0.1902 0.8954 0.9267  2 Mn 1.95-2.09
36 F 0.1528 0.8620 0.2517  2 Mn 2.01-2.15